Record 1
An optimized crystal structure of CrPH5O5, computed with PBE with a Hubbard U.

a = 6.8235 Å, b = 7.6340 Å, c = 9.3278 Å
α = 90.00°, β = 90.00°, γ = 90.00°
With the nearest neighbours (Å) after each atom.
Atoms (fractional coordinates):
1 Cr 0.2259 0.0326 0.0945  4 O 2.07-2.11
2 Cr 0.2741 0.9674 0.5945  4 O 2.07-2.11
3 Cr 0.7259 0.4674 0.9055  4 O 2.07-2.11
4 Cr 0.7741 0.5326 0.4055  4 O 2.07-2.11
5 P 0.0188 0.3211 0.6503  1 H 1.41, 3 O 1.54-1.55
6 P 0.4812 0.6789 0.1503  1 H 1.41, 3 O 1.54-1.55
7 P 0.5188 0.1789 0.3497  1 H 1.41, 3 O 1.54-1.55
8 P 0.9812 0.8211 0.8497  1 H 1.41, 3 O 1.54-1.55
9 H 0.0272 0.4441 0.1557  1 O 0.98
10 H 0.0749 0.6407 0.1794  1 O 1.00
11 H 0.1225 0.3208 0.9370  1 O 1.01
12 H 0.1287 0.7005 0.8860  1 P 1.41
13 H 0.1913 0.6231 0.5345  1 O 1.01
14 H 0.3087 0.3769 0.0345  1 O 1.01
15 H 0.3713 0.2995 0.3860  1 P 1.41
16 H 0.3775 0.6792 0.4370  1 O 1.01
17 H 0.4251 0.3593 0.6794  1 O 1.00
18 H 0.4728 0.5559 0.6557  1 O 0.98
19 H 0.5272 0.0559 0.8443  1 O 0.98
20 H 0.5749 0.8593 0.8206  1 O 1.00
21 H 0.6225 0.1792 0.0630  1 O 1.01
22 H 0.6287 0.7995 0.1140  1 P 1.41
23 H 0.6913 0.8769 0.4655  1 O 1.01
24 H 0.8087 0.1231 0.9655  1 O 1.01
25 H 0.8713 0.2005 0.6140  1 P 1.41
26 H 0.8775 0.8208 0.5630  1 O 1.01
27 H 0.9251 0.1407 0.3206  1 O 1.00
28 H 0.9728 0.9441 0.3443  1 O 0.98
29 O 0.0064 0.4727 0.5407  1 P 1.55, 1 H 1.71
30 O 0.0198 0.8840 0.6946  1 P 1.55, 1 H 1.64
31 O 0.0316 0.0528 0.3073  2 H 0.98-1.00
32 O 0.1923 0.2963 0.0303  2 H 1.01
33 O 0.2190 0.2276 0.6432  1 P 1.54
34 O 0.2810 0.7724 0.1432  1 P 1.54
35 O 0.3077 0.7037 0.5303  2 H 1.01
36 O 0.4684 0.9472 0.8073  2 H 0.98-1.00
37 O 0.4802 0.1160 0.1946  1 P 1.55, 1 H 1.64
38 O 0.4936 0.5273 0.0407  1 P 1.55, 1 H 1.71
39 O 0.5064 0.0273 0.4593  1 P 1.55, 1 H 1.71
40 O 0.5198 0.6160 0.3054  1 P 1.55, 1 H 1.64
41 O 0.5316 0.4472 0.6927  2 H 0.98-1.00
42 O 0.6923 0.2037 0.9697  2 H 1.01
43 O 0.7190 0.2724 0.3568  1 P 1.54
44 O 0.7810 0.7276 0.8568  1 P 1.54
45 O 0.8077 0.7963 0.4697  2 H 1.01
46 O 0.9684 0.5528 0.1927  2 H 0.98-1.00
47 O 0.9802 0.3840 0.8054  1 P 1.55, 1 H 1.64
48 O 0.9936 0.9727 0.9593  1 P 1.55, 1 H 1.71

Properties
As for the calculated formation energy: -1640 meV/atom. The maximum piezoelectric response is 0.2 C/m². The volume comes out at 485.9 Å³/cell. The crystal system is orthorhombic.

***

Record 2
An optimized crystal structure of Cr2O5F2, computed with PBE with a Hubbard U.

a = 8.2705 Å, b = 8.2705 Å, c = 9.6763 Å
α = 90.00°, β = 90.00°, γ = 90.00°
With the nearest neighbours (Å) after each atom.
Atoms (fractional coordinates):
1 Cr 0.0907 0.3365 0.3599  2 O 1.58-1.60, 1 F 1.73
2 Cr 0.1635 0.4093 0.8599  2 O 1.58-1.60, 1 F 1.73
3 Cr 0.3365 0.9093 0.6401  2 O 1.58-1.60, 1 F 1.73
4 Cr 0.4093 0.8365 0.1401  2 O 1.58-1.60, 1 F 1.73
5 Cr 0.5907 0.1635 0.1401  2 O 1.58-1.60, 1 F 1.73
6 Cr 0.6635 0.0907 0.6401  2 O 1.58-1.60, 1 F 1.73
7 Cr 0.8365 0.5907 0.8599  2 O 1.58-1.60, 1 F 1.73
8 Cr 0.9093 0.6635 0.3599  2 O 1.58-1.60, 1 F 1.73
9 O 0.0000 0.5000 0.2690  2 Cr 1.78
10 O 0.0000 0.5000 0.7690  2 Cr 1.78
11 O 0.0249 0.7161 0.4841  1 Cr 1.60
12 O 0.1085 0.1909 0.2546  1 Cr 1.58
13 O 0.1909 0.8915 0.7454  1 Cr 1.58
14 O 0.2161 0.5249 0.9841  1 Cr 1.60
15 O 0.2839 0.0249 0.5159  1 Cr 1.60
16 O 0.3091 0.3915 0.7546  1 Cr 1.58
17 O 0.3915 0.6909 0.2454  1 Cr 1.58
18 O 0.4751 0.2161 0.0159  1 Cr 1.60
19 O 0.5000 0.0000 0.2310  2 Cr 1.78
20 O 0.5000 0.0000 0.7310  2 Cr 1.78
21 O 0.5249 0.7839 0.0159  1 Cr 1.60
22 O 0.6085 0.3091 0.2454  1 Cr 1.58
23 O 0.6909 0.6085 0.7546  1 Cr 1.58
24 O 0.7161 0.9751 0.5159  1 Cr 1.60
25 O 0.7839 0.4751 0.9841  1 Cr 1.60
26 O 0.8091 0.1085 0.7454  1 Cr 1.58
27 O 0.8915 0.8091 0.2546  1 Cr 1.58
28 O 0.9751 0.2839 0.4841  1 Cr 1.60
29 F 0.0998 0.2240 0.9231  1 Cr 1.73
30 F 0.2240 0.9002 0.0769  1 Cr 1.73
31 F 0.2760 0.4002 0.4231  1 Cr 1.73
32 F 0.4002 0.7240 0.5769  1 Cr 1.73
33 F 0.5998 0.2760 0.5769  1 Cr 1.73
34 F 0.7240 0.5998 0.4231  1 Cr 1.73
35 F 0.7760 0.0998 0.0769  1 Cr 1.73
36 F 0.9002 0.7760 0.9231  1 Cr 1.73

Properties
As for the calculated formation energy: -1711 meV/atom. The volume comes out at 661.9 Å³/cell. The crystal system is tetragonal.

***

Record 3
An optimized crystal structure of FeN3F6, computed with PBE with a Hubbard U.

a = 5.4704 Å, b = 5.4704 Å, c = 5.4704 Å
α = 60.00°, β = 60.00°, γ = 60.00°
With the nearest neighbours (Å) after each atom.
Atoms (fractional coordinates):
1 Fe 0.0000 0.0000 0.0000  6 F 1.99
2 N 0.2500 0.2500 0.2500  12 F 2.74
3 N 0.5000 0.5000 0.5000  6 F 1.87
4 N 0.7500 0.7500 0.7500  12 F 2.74
5 F 0.2578 0.2578 0.7422  1 N 1.87, 1 Fe 1.99
6 F 0.2578 0.7422 0.2578  1 N 1.87, 1 Fe 1.99
7 F 0.2578 0.7422 0.7422  1 N 1.87, 1 Fe 1.99
8 F 0.7422 0.2578 0.2578  1 N 1.87, 1 Fe 1.99
9 F 0.7422 0.2578 0.7422  1 N 1.87, 1 Fe 1.99
10 F 0.7422 0.7422 0.2578  1 N 1.87, 1 Fe 1.99

Properties
As for the calculated formation energy: 256 meV/atom. The volume comes out at 115.8 Å³/cell. The value obtained for the excess energy over the best structure of this formula in the dataset is 545 meV/atom. The crystal system is cubic.

***

Record 4
An optimized crystal structure of Na3VS3O12, computed with PBE with a Hubbard U.

a = 8.4728 Å, b = 8.4728 Å, c = 8.4728 Å
α = 107.50°, β = 107.50°, γ = 107.50°
With the nearest neighbours (Å) after each atom.
Atoms (fractional coordinates):
1 Na 0.1152 0.2644 0.6442  4 O 2.34-2.55
2 Na 0.2644 0.6442 0.1152  4 O 2.34-2.55
3 Na 0.3558 0.8848 0.7356  4 O 2.34-2.55
4 Na 0.6442 0.1152 0.2644  4 O 2.34-2.55
5 Na 0.7356 0.3558 0.8848  4 O 2.34-2.55
6 Na 0.8848 0.7356 0.3558  4 O 2.34-2.55
7 V 0.0000 0.0000 0.0000  6 O 2.01
8 V 0.5000 0.5000 0.5000  6 O 2.06
9 S 0.0522 0.4018 0.2641  4 O 1.46-1.52
10 S 0.2641 0.0522 0.4018  4 O 1.46-1.52
11 S 0.4018 0.2641 0.0522  4 O 1.46-1.52
12 S 0.5982 0.7359 0.9478  4 O 1.46-1.52
13 S 0.7359 0.9478 0.5982  4 O 1.46-1.52
14 S 0.9478 0.5982 0.7359  4 O 1.46-1.52
15 O 0.0187 0.2567 0.0864  1 S 1.51
16 O 0.0205 0.4749 0.7892  1 S 1.48
17 O 0.0281 0.6786 0.6324  1 S 1.46
18 O 0.0864 0.0187 0.2567  1 S 1.51
19 O 0.2108 0.9795 0.5251  1 S 1.48
20 O 0.2567 0.0864 0.0187  1 S 1.51
21 O 0.2585 0.5123 0.3720  1 S 1.52
22 O 0.3214 0.3675 0.9719  1 S 1.46
23 O 0.3676 0.9719 0.3214  1 S 1.46
24 O 0.3720 0.2585 0.5123  1 S 1.52
25 O 0.4749 0.7892 0.0205  1 S 1.48
26 O 0.4877 0.6280 0.7415  1 S 1.52
27 O 0.5123 0.3720 0.2585  1 S 1.52
28 O 0.5251 0.2108 0.9795  1 S 1.48
29 O 0.6280 0.7415 0.4877  1 S 1.52
30 O 0.6324 0.0281 0.6786  1 S 1.46
31 O 0.6786 0.6324 0.0281  1 S 1.46
32 O 0.7415 0.4877 0.6280  1 S 1.52
33 O 0.7433 0.9136 0.9813  1 S 1.51
34 O 0.7892 0.0205 0.4749  1 S 1.48
35 O 0.9136 0.9813 0.7433  1 S 1.51
36 O 0.9719 0.3214 0.3676  1 S 1.46
37 O 0.9795 0.5251 0.2108  1 S 1.48
38 O 0.9813 0.7433 0.9136  1 S 1.51

Properties
As for the calculated formation energy: -2154 meV/atom. The volume comes out at 499.5 Å³/cell. The crystal system is trigonal.

***

Record 5
An optimized crystal structure of MgVBr2O, computed with PBE with a Hubbard U.

a = 3.9790 Å, b = 4.3445 Å, c = 7.7396 Å
α = 74.03°, β = 75.30°, γ = 90.00°
With the nearest neighbours (Å) after each atom.
Atoms (fractional coordinates):
1 Mg 0.0000 0.0000 0.0000  2 O 1.99
2 V 0.5000 0.5000 0.0000  2 O 2.17
3 Br 0.1255 0.6248 0.7454  2 V 2.70, 2 Mg 2.84
4 Br 0.8745 0.3752 0.2546  2 V 2.70, 2 Mg 2.84
5 O 0.5000 0.0000 0.0000  2 Mg 1.99, 2 V 2.17

Properties
As for the calculated formation energy: -1601 meV/atom. The volume comes out at 124.1 Å³/cell. The value obtained for the excess energy over the best structure of this formula in the dataset is 0 meV/atom. The crystal system is triclinic.